! Sn, relaxed, DFT PBE-GGA; values from VASP
! - Offset from the most stable computed form: 74 meV per atom
&SYSTEM
  ibrav = 0, nat = 1, ntyp = 1
/
ATOMIC_SPECIES
Sn 118.71 Sn.upf
CELL_PARAMETERS angstrom
2.611 -1.964 0.456
0.749 3.066 0.961
-2.543 -1.120 1.779
ATOMIC_POSITIONS angstrom
Sn 0.000 0.000 0.000

! Sr9La5Cl33, relaxed, DFT PBE-GGA; values from VASP
! - MP2020-corrected energy: -5.00 eV/atom
&SYSTEM
  ibrav = 0, nat = 94, ntyp = 3
/
ATOMIC_SPECIES
Sr 87.62 Sr.upf
La 138.91 La.upf
Cl 35.45 Cl.upf
CELL_PARAMETERS angstrom
-3.899 4.021 9.793
-8.558 -4.766 -5.669
10.097 -17.741 7.024
ATOMIC_POSITIONS angstrom
Sr 3.663 -13.983 14.185
Sr 7.792 -16.343 9.441
Sr -0.081 -1.639 5.856
Sr -2.280 -3.788 9.370
Sr 1.734 -6.354 4.303
Sr -0.673 -8.726 8.167
Sr 3.313 -10.860 3.235
Sr -4.778 -0.775 6.286
Sr -0.779 -3.312 1.159
Sr -1.580 -15.173 9.988
Sr 2.418 -17.710 4.862
Sr -5.673 -7.626 7.912
Sr -1.687 -9.760 2.981
Sr -4.094 -12.132 6.845
Sr -0.079 -14.697 1.777
Sr -2.279 -16.847 5.291
Sr -10.151 -2.142 1.707
Sr -6.022 -4.503 -3.038
La 4.064 -9.071 7.600
La 5.839 -13.551 6.318
La 1.053 -11.244 11.545
La 3.001 -16.098 10.063
La 0.504 -12.896 6.288
La -2.863 -5.589 4.859
La -5.361 -2.387 1.085
La -3.413 -7.242 -0.398
La -8.198 -4.935 4.830
La -6.424 -9.414 3.548
Cl 3.742 -11.531 12.302
Cl 1.829 -8.836 13.126
Cl 5.074 -14.753 11.407
Cl -1.313 -0.691 8.322
Cl 5.740 -10.696 5.952
Cl 8.000 -15.652 6.329
Cl 2.146 -9.328 9.739
Cl 4.153 -12.198 8.503
Cl -0.302 -6.254 10.018
Cl 0.066 -4.154 7.436
Cl 1.857 -7.024 7.297
Cl 3.960 -8.195 4.704
Cl 5.033 -15.653 8.037
Cl -4.420 1.615 8.059
Cl 1.521 -14.079 11.492
Cl -2.333 0.437 5.341
Cl -1.096 -9.338 11.211
Cl -0.334 -0.860 2.825
Cl 1.803 -10.296 6.267
Cl -4.753 -1.829 9.020
Cl -0.421 -4.242 4.079
Cl -2.864 -3.071 6.349
Cl 1.586 -5.334 1.587
Cl 3.139 -13.268 5.334
Cl -0.087 -11.792 8.912
Cl 4.964 -16.016 4.553
Cl -2.811 -6.428 7.640
Cl 1.196 -14.953 8.187
Cl -0.787 -7.625 5.161
Cl 0.498 -17.416 10.610
Cl 2.628 -18.107 7.868
Cl 1.208 -8.771 2.472
Cl 4.800 -19.353 5.300
Cl -7.160 0.867 5.848
Cl -3.567 -9.714 8.675
Cl -4.987 -0.378 3.280
Cl -2.858 -1.069 0.537
Cl -1.573 -10.861 5.986
Cl -3.556 -3.532 2.961
Cl 0.452 -12.058 3.507
Cl -7.323 -2.469 6.594
Cl -2.272 -6.694 2.235
Cl -5.499 -5.217 5.813
Cl -3.946 -13.151 9.561
Cl 0.504 -15.415 4.799
Cl -1.938 -14.243 7.069
Cl 2.393 -16.656 2.128
Cl -4.162 -8.190 4.880
Cl -2.026 -17.625 8.323
Cl -1.263 -9.147 -0.064
Cl -0.026 -18.923 5.807
Cl -3.881 -4.406 -0.344
Cl 2.060 -20.101 3.089
Cl -7.393 -2.832 3.111
Cl -6.320 -10.290 6.443
Cl -4.217 -11.462 3.851
Cl -2.426 -14.331 3.712
Cl -2.058 -12.231 1.129
Cl -6.512 -6.287 2.645
Cl -4.506 -9.157 1.408
Cl -10.359 -2.834 4.818
Cl -8.099 -7.790 5.196
Cl -1.046 -17.795 2.826
Cl -7.433 -3.732 -0.260
Cl -4.189 -9.650 -1.978
Cl -6.102 -6.955 -1.154

Compound: PrAl3
Source: the Materials Project
Functional: PBE-GGA
Structure: relaxed Values from VASP.

Geometry as Quantum ESPRESSO input:
```
&SYSTEM
  ibrav = 0, nat = 8, ntyp = 2
/
ATOMIC_SPECIES
Pr 140.91 Pr.upf
Al 26.98 Al.upf
CELL_PARAMETERS angstrom
-2.796 3.383 -4.838
-1.846 1.012 6.184
3.259 3.310 0.431
ATOMIC_POSITIONS angstrom
Pr -0.035 5.075 -0.841
Pr -1.348 2.630 2.617
Al 1.535 3.241 1.379
Al -1.848 3.878 -3.185
Al -2.917 4.464 0.397
Al 0.465 3.827 4.962
Al -1.155 5.787 2.159
Al -0.228 1.918 -0.382
```

! SnO2, relaxed, DFT PBE-GGA; values from VASP
! - MP2020-corrected energy: -6.59 eV/atom
&SYSTEM
  ibrav = 0, nat = 12, ntyp = 2
/
ATOMIC_SPECIES
Sn 118.71 Sn.upf
O 16.00 O.upf
CELL_PARAMETERS angstrom
-3.906 -3.913 1.835
1.955 -5.463 -0.517
1.455 -2.307 5.147
ATOMIC_POSITIONS angstrom
Sn -0.426 -10.061 5.567
Sn -2.135 -6.232 3.283
Sn 0.547 -5.429 4.940
Sn 0.797 -7.007 2.107
O -1.275 -4.551 4.271
O -1.028 -6.113 1.467
O 1.626 -5.319 3.106
O -0.301 -7.104 3.931
O -0.062 -1.459 0.807
O -2.024 -3.192 1.600
O 0.683 -2.382 3.272
O 0.936 -3.975 0.412

! LiGeTe2, relaxed, DFT PBE-GGA; values from VASP
! - MP2020-corrected energy: -3.83 eV/atom
&SYSTEM
  ibrav = 0, nat = 24, ntyp = 3
/
ATOMIC_SPECIES
Li 6.94 Li.upf
Ge 72.64 Ge.upf
Te 127.60 Te.upf
CELL_PARAMETERS angstrom
7.343 0.000 0.000
3.069 8.726 0.000
2.562 2.106 10.990
ATOMIC_POSITIONS angstrom
Li 11.359 7.407 8.905
Li 1.615 3.426 2.086
Li 6.778 6.609 3.531
Li 6.196 4.224 7.459
Li 3.671 0.000 0.000
Li 1.281 1.053 5.495
Ge 3.515 6.277 4.944
Ge 9.459 4.556 6.046
Ge 10.540 8.814 2.270
Ge 2.434 2.019 8.720
Ge 2.873 6.676 1.067
Ge 10.101 4.157 9.923
Te 7.775 5.971 0.796
Te 5.199 4.861 10.195
Te 6.010 1.964 1.106
Te 6.964 8.868 9.885
Te 4.233 5.051 2.669
Te 8.740 5.781 8.322
Te 5.493 7.045 6.376
Te 7.481 3.788 4.614
Te 9.164 8.277 4.475
Te 3.809 2.555 6.515
Te 2.570 0.641 2.778
Te 10.403 10.192 8.212

! GePb2S4, relaxed, DFT PBE-GGA; values from VASP
! - Offset from the most stable computed form: 12 meV per atom
! - MP2020-corrected energy: -4.83 eV/atom
&SYSTEM
  ibrav = 0, nat = 56, ntyp = 3
/
ATOMIC_SPECIES
Ge 72.64 Ge.upf
Pb 207.20 Pb.upf
S 32.06 S.upf
CELL_PARAMETERS angstrom
-7.168 7.168 7.335
7.168 -7.168 7.335
7.168 7.168 -7.335
ATOMIC_POSITIONS angstrom
Ge 6.824 3.957 -2.277
Ge 3.211 -0.345 9.611
Ge 7.513 -3.211 5.944
Ge 6.824 3.211 5.944
Ge 3.957 7.513 2.277
Ge 0.345 3.211 5.058
Ge 3.957 -0.345 1.391
Ge 10.379 0.345 1.391
Pb 0.000 0.000 2.111
Pb 7.459 3.584 1.834
Pb 4.805 -3.584 9.168
Pb 3.584 6.877 -1.834
Pb 3.293 3.584 1.834
Pb 3.584 0.291 5.501
Pb 0.000 0.000 12.558
Pb -0.291 3.584 9.168
Pb -3.584 3.875 5.501
Pb 3.584 4.805 5.501
Pb 0.000 7.168 1.556
Pb 2.363 10.752 1.834
Pb 10.752 3.293 -1.834
Pb 0.000 7.168 5.779
Pb 3.875 3.584 9.168
Pb 3.584 2.363 -1.834
S 8.088 2.685 -0.892
S 8.240 5.359 -3.276
S 9.562 1.917 2.756
S 2.394 -1.917 8.246
S 5.251 4.774 -0.911
S -1.072 1.809 4.059
S 9.085 -2.394 4.578
S 2.685 0.919 2.775
S 5.251 2.394 4.578
S 1.295 2.532 0.074
S 1.809 1.072 10.610
S 5.359 6.096 3.276
S 2.685 6.249 0.892
S -2.532 5.873 3.742
S 4.774 9.085 0.911
S 6.096 -1.809 6.943
S 1.295 4.636 3.593
S 1.917 2.394 6.423
S 1.072 8.977 -0.392
S 8.088 4.484 4.559
S -0.919 2.685 11.894
S 2.532 8.464 3.742
S -4.636 5.873 7.260
S 4.774 -1.917 2.756
S 11.805 1.295 -0.074
S 4.484 0.919 8.227
S -0.919 4.484 6.442
S 1.809 6.096 7.726
S 5.873 4.636 7.409
S -1.295 9.700 3.593
S 5.359 1.072 0.392
S 4.484 6.249 -4.559

Per-record E, eV per atom: -3.94, -4.57, -4.44, -6.13, -3.62, -4.54
Per-record formation energy from the elements, kJ per mole of atoms: 7, -275, -42, -188, -60, -72